Here is a geometry-optimized CrSBr structure from Materials Project. Energies are from meta-GGA r2SCAN.

As for the final energy: -79.097 eV/cell. The energy relative to the elements is -1.0608 eV per atom.

The structure belongs to space group Pmmn (No. 59, origin choice 2); the cell edges are 3.540, 4.755 and 8.394 Å and the angles 90.00°, 90.00° and 90.00°. Symmetry generates all atoms from Cr at (0.250, 0.250, 0.121), S at (0.250, 0.750, 0.070) and Br at (0.250, 0.750, 0.666).